## LiCu2Si (GGA-PBE)

Data for an optimized crystal structure of LiCu2Si.

Output
- E_form: -20 kJ per mole of atoms

CIF file:
```
data_LiCu2Si
_cell_length_a 5.732
_cell_length_b 5.732
_cell_length_c 5.732
_cell_angle_alpha 90.00
_cell_angle_beta 90.00
_cell_angle_gamma 90.00
_symmetry_space_group_name_H-M 'F m -3 m'
_symmetry_Int_Tables_number 225
_symmetry_space_group_name_Hall '-F 4 2 3'
loop_
_atom_site_label
_atom_site_type_symbol
_atom_site_fract_x
_atom_site_fract_y
_atom_site_fract_z
Li1 Li 0.000 0.000 0.000
Cu1 Cu 0.250 0.250 0.250
Si1 Si 0.000 0.000 0.500
```



## Li7CuSi2 (GGA-PBE)

Data for an optimized crystal structure of Li7CuSi2.

Output
- E_form: -21 kJ per mole of atoms
- Size of the total moment: 0.002 μB/atom

CIF file:
```
data_Li7CuSi2
_cell_length_a 7.903
_cell_length_b 4.391
_cell_length_c 17.157
_cell_angle_alpha 90.00
_cell_angle_beta 90.00
_cell_angle_gamma 90.00
_symmetry_space_group_name_H-M 'P n m a'
_symmetry_Int_Tables_number 62
loop_
_symmetry_equiv_pos_as_xyz
'x,y,z'
'-x,-y,-z'
'-x+1/2,-y,z+1/2'
'x+1/2,y,-z+1/2'
'x+1/2,-y+1/2,-z+1/2'
'-x+1/2,y+1/2,z+1/2'
'-x,y+1/2,-z'
'x,-y+1/2,z'
loop_
_atom_site_label
_atom_site_type_symbol
_atom_site_fract_x
_atom_site_fract_y
_atom_site_fract_z
Li1 Li 0.024 0.250 0.121
Li2 Li 0.030 0.750 0.318
Li3 Li 0.053 0.750 0.467
Li4 Li 0.111 0.250 0.957
Li5 Li 0.138 0.750 0.620
Li6 Li 0.145 0.250 0.811
Li7 Li 0.191 0.250 0.257
Cu1 Cu 0.225 0.750 0.038
Si1 Si 0.188 0.750 0.171
Si2 Si 0.197 0.250 0.407
```



## LiCu2Sn (GGA-PBE)

Data for an optimized crystal structure of LiCu2Sn.

Output
- E_form: -18 kJ per mole of atoms

CIF file:
```
data_LiCu2Sn
_cell_length_a 4.2976
_cell_length_b 4.2976
_cell_length_c 7.6533
_cell_angle_alpha 90.00
_cell_angle_beta 90.00
_cell_angle_gamma 120.00
_symmetry_space_group_name_H-M 'P 63/m m c'
_symmetry_Int_Tables_number 194
_symmetry_space_group_name_Hall '-P 6c 2c'
loop_
_atom_site_label
_atom_site_type_symbol
_atom_site_fract_x
_atom_site_fract_y
_atom_site_fract_z
Li1 Li 0.0000 0.0000 0.0000
Cu1 Cu 0.3333 0.6667 0.0888
Sn1 Sn 0.3333 0.6667 0.7500
```